Compound: NpAsS
Source: the Materials Project database
Functional: PBE
Structure: optimized geometry

## Properties
uncorrected energy	-8.36	eV per atom
E (MP2020)	-51.2	eV per cell
formation enthalpy at 0 K	-1.282	eV/atom

abc: 3.8631 3.8631 8.1425
angles: 90.00 90.00 90.00
Last column: nearest neighbours and their distance in Å.
Positions (direct):
As: 0.0000 0.0000 0.0000  4 As 2.73
As: 0.5000 0.5000 0.0000  4 As 2.73
Np: 0.5000 0.0000 0.2924  5 S 2.79-2.80, 4 As 3.07
Np: 0.0000 0.5000 0.7076  5 S 2.79-2.80, 4 As 3.07
S: 0.5000 0.0000 0.6368  5 Np 2.79-2.80
S: 0.0000 0.5000 0.3632  5 Np 2.79-2.80

=====

Compound: Nd2P3Rh3
Source: the Materials Project database
Functional: PBE
Structure: optimized geometry

## Properties
uncorrected energy	-5.49	eV per atom
formation enthalpy at 0 K	0.489	eV/atom

abc: 2.9027 2.9027 19.7815
angles: 90.00 90.00 90.00
Last column: nearest neighbours and their distance in Å.
Positions (direct):
P: 0.5000 0.5000 0.3876  1 Rh 2.22
P: 0.5000 0.5000 0.0000  2 Rh 2.12
P: 0.5000 0.5000 0.6124  1 Rh 2.22
Rh: 0.5000 0.5000 0.8927  1 P 2.12
Rh: 0.5000 0.5000 0.1073  1 P 2.12
Rh: 0.5000 0.5000 0.5000  2 P 2.22
Nd: 0.5000 0.5000 0.2462  1 Rh 2.75, 1 P 2.80, 4 Nd 2.90
Nd: 0.5000 0.5000 0.7538  1 Rh 2.75, 1 P 2.80, 4 Nd 2.90

=====

Compound: LiSi3
Source: the Materials Project database
Functional: PBE
Structure: optimized geometry

## Properties
uncorrected energy	-4.36	eV per atom
E (MP2020)	-17.2	eV per cell
formation enthalpy at 0 K	0.237	eV/atom
distance to the lowest polymorph of the same formula	0.013	eV/atom

abc: 4.8196 4.8196 4.8196
angles: 134.22 134.22 66.74
Last column: nearest neighbours and their distance in Å.
Positions (direct):
Si: 0.5000 0.5000 0.0000  4 Li 2.65, 8 Si 2.75
Si: 0.2500 0.7500 0.5000  8 Si 2.65-2.75, 4 Li 2.75
Si: 0.7500 0.2500 0.5000  8 Si 2.65-2.75, 4 Li 2.75
Li: 0.0000 0.0000 0.0000  12 Si 2.65-2.75

=====

Compound: PbSe
Source: the Materials Project database
Functional: PBE
Structure: optimized geometry

## Properties
uncorrected energy	-3.93	eV per atom
E (MP2020)	-8.3	eV per cell
formation enthalpy at 0 K	-0.560	eV/atom

abc: 3.7843 3.7843 3.7843
angles: 90.00 90.00 90.00
Last column: nearest neighbours and their distance in Å.
Positions (direct):
Se: 0.5000 0.5000 0.5000  8 Pb 3.28
Pb: 0.0000 0.0000 0.0000  8 Se 3.28

=====

Compound: Cs3P7Pb2O21
Source: the Materials Project database
Functional: PBE
Structure: optimized geometry

## Properties
uncorrected energy	-6.75	eV per atom
E (MP2020)	-474.1	eV per cell
formation enthalpy at 0 K	-2.580	eV/atom

abc: 6.9108 8.0332 22.5347
angles: 86.51 83.04 65.90
Last column: nearest neighbours and their distance in Å.
Positions (direct):
O: 0.0873 0.2663 0.0015  2 P 1.62-1.64
O: 0.1077 0.2254 0.7463  2 P 1.62-1.63
O: 0.5652 0.4358 0.8163  1 P 1.51
O: 0.4348 0.5642 0.1837  1 P 1.51
O: 0.0998 0.9587 0.2072  1 P 1.50
O: 0.9127 0.7337 0.9985  2 P 1.62-1.64
O: 0.1597 0.3244 0.3692  1 P 1.50
O: 0.6334 0.6929 0.5142  1 P 1.50
O: 0.8923 0.7746 0.2537  2 P 1.62-1.63
O: 0.9310 0.6090 0.4264  2 P 1.63
O: 0.5259 0.9491 0.3118  1 P 1.50
O: 0.8403 0.6756 0.6308  1 P 1.50
O: 0.0030 0.2968 0.4766  2 P 1.63-1.64
O: 0.7476 0.8166 0.9031  1 P 1.51
O: 0.1740 0.3933 0.8991  1 P 1.50
O: 0.4357 0.0602 0.8038  1 P 1.50
O: 0.2464 0.7019 0.2857  2 P 1.63-1.64
O: 0.4872 0.2063 0.0007  1 P 1.50
O: 0.7547 0.4061 0.3970  1 P 1.50
O: 0.7910 0.5112 0.9527  2 P 1.62-1.63
O: 0.5338 0.3801 0.2800  1 P 1.50
O: 0.7536 0.2981 0.7143  2 P 1.63-1.64
O: 0.5128 0.7937 0.9993  1 P 1.50
O: 0.0690 0.3910 0.5736  2 P 1.63
O: 0.8260 0.6067 0.1009  1 P 1.50
O: 0.2090 0.4888 0.0473  2 P 1.62-1.63
O: 0.4741 0.0509 0.6882  1 P 1.50
O: 0.5643 0.9398 0.1962  1 P 1.50
O: 0.4662 0.6199 0.7200  1 P 1.50
O: 0.9524 0.9993 0.3187  1 P 1.50
O: 0.2452 0.0651 0.5426  1 P 1.50
O: 0.3666 0.3071 0.4858  1 P 1.50
O: 0.0476 0.0007 0.6813  1 P 1.50
O: 0.7548 0.9349 0.4574  1 P 1.50
O: 0.9481 0.1957 0.9129  1 P 1.50
O: 0.0519 0.8043 0.0871  1 P 1.50
O: 0.3661 0.3543 0.7407  2 P 1.61-1.64
O: 0.2453 0.5939 0.6030  1 P 1.50
O: 0.6339 0.6457 0.2593  2 P 1.61-1.64
O: 0.2524 0.1834 0.0969  1 P 1.51
O: 0.9970 0.7032 0.5234  2 P 1.63-1.64
O: 0.9002 0.0413 0.7929  1 P 1.50
Cs: 0.2461 0.7928 0.8895  8 O 3.08-3.43
Cs: 0.6976 0.2060 0.5790  9 O 3.12-3.49
Cs: 0.7539 0.2072 0.1105  8 O 3.08-3.43
Cs: 0.1267 0.3140 0.2363  6 O 3.04-3.36
Cs: 0.8733 0.6860 0.7637  6 O 3.04-3.36
Cs: 0.3024 0.7940 0.4210  9 O 3.12-3.49
P: 0.0376 0.5976 0.5879  4 O 1.50-1.63
P: 0.4644 0.5619 0.2490  4 O 1.50-1.63
P: 0.9624 0.4024 0.4121  4 O 1.50-1.63
P: 0.5356 0.4381 0.7510  4 O 1.50-1.63
P: 0.8027 0.7459 0.4819  4 O 1.50-1.64
P: 0.3649 0.1508 0.7452  4 O 1.50-1.64
P: 0.9582 0.1211 0.7350  4 O 1.50-1.64
P: 0.0418 0.8789 0.2650  4 O 1.50-1.64
P: 0.9876 0.6634 0.0653  4 O 1.50-1.64
P: 0.6351 0.8492 0.2548  4 O 1.50-1.64
P: 0.2739 0.2733 0.0371  4 O 1.50-1.62
P: 0.1973 0.2541 0.5181  4 O 1.50-1.64
P: 0.7261 0.7267 0.9629  4 O 1.50-1.62
P: 0.0124 0.3366 0.9347  4 O 1.50-1.64
Pb: 0.6054 0.1694 0.8850  7 O 2.50-2.77
Pb: 0.3946 0.8306 0.1150  7 O 2.50-2.77
Pb: 0.4108 0.8132 0.6246  7 O 2.55-2.76
Pb: 0.5892 0.1868 0.3754  7 O 2.55-2.76

=====

Compound: NpPa3
Source: the Materials Project database
Functional: PBE
Structure: optimized geometry

## Properties
uncorrected energy	-10.11	eV per atom
formation enthalpy at 0 K	0.262	eV/atom
distance to the lowest polymorph of the same formula	0.000	eV/atom

abc: 6.1862 6.1862 5.6027
angles: 90.00 90.00 120.00
Last column: nearest neighbours and their distance in Å.
Positions (direct):
Pa: 0.8323 0.1677 0.7500  8 Pa 3.07-3.33, 4 Np 3.09-3.32
Pa: 0.6645 0.8323 0.2500  8 Pa 3.07-3.33, 4 Np 3.09-3.32
Pa: 0.8323 0.6645 0.7500  8 Pa 3.07-3.33, 4 Np 3.09-3.32
Pa: 0.1677 0.8323 0.2500  8 Pa 3.07-3.33, 4 Np 3.09-3.32
Pa: 0.1677 0.3355 0.2500  8 Pa 3.07-3.33, 4 Np 3.09-3.32
Pa: 0.3355 0.1677 0.7500  8 Pa 3.07-3.33, 4 Np 3.09-3.32
Np: 0.6667 0.3333 0.2500  12 Pa 3.09-3.32
Np: 0.3333 0.6667 0.7500  12 Pa 3.09-3.32